## Rb3DyF6 (GGA-PBE)

Data for an optimized crystal structure of Rb3DyF6.

Unit cell a=6.8626 b=6.8626 c=6.8626 alpha=60.00 beta=60.00 gamma=60.00
Fractional positions:
Rb 0.2500 0.2500 0.2500
F 0.2247 0.7753 0.7753
Rb 0.7500 0.7500 0.7500
F 0.7753 0.2247 0.2247
F 0.2247 0.2247 0.7753
Rb 0.5000 0.5000 0.5000
F 0.7753 0.7753 0.2247
Dy 0.0000 0.0000 0.0000
F 0.7753 0.2247 0.7753
F 0.2247 0.7753 0.2247

Summary:
- uncorrected energy (eV/cell) = -51.6

---

## DyZrF7 (GGA-PBE)

Data for an optimized crystal structure of DyZrF7.

Unit cell a=5.7263 b=6.1236 c=8.3225 alpha=102.08 beta=90.00 gamma=90.00
Fractional positions:
Zr 0.7072 0.8115 0.2237
F 0.4934 0.5426 0.2134
Dy 0.1974 0.3453 0.3163
F 0.7094 0.8597 0.4738
F 0.9934 0.4574 0.7866
F 0.9278 0.0755 0.2317
F 0.0031 0.6205 0.2186
F 0.2094 0.1403 0.5262
F 0.4447 0.0430 0.2408
F 0.5031 0.3795 0.7814
F 0.4278 0.9245 0.7683
Dy 0.6974 0.6547 0.6837
F 0.2024 0.2459 0.0258
Zr 0.2072 0.1885 0.7763
F 0.9447 0.9570 0.7592
F 0.3910 0.5445 0.5221
F 0.8910 0.4555 0.4779
F 0.7024 0.7541 0.9742

Summary:
- uncorrected energy (eV/cell) = -122.8

---

## DyFe3 (GGA-PBE)

Data for an optimized crystal structure of DyFe3.

Unit cell a=5.1155 b=5.1155 c=8.6244 alpha=72.75 beta=72.75 gamma=60.00
Fractional positions:
Fe 0.5806 0.5806 0.7561
Fe 0.4194 0.9173 0.2439
Fe 0.5000 0.5000 0.5000
Dy 0.8583 0.8583 0.4251
Fe 0.6671 0.6671 0.9986
Fe 0.9173 0.4194 0.2439
Fe 0.4194 0.4194 0.2439
Fe 0.5806 0.0827 0.7561
Dy 0.0000 0.0000 0.0000
Fe 0.3329 0.3329 0.0014
Dy 0.1417 0.1417 0.5749
Fe 0.0827 0.5806 0.7561

Summary:
- uncorrected energy (eV/cell) = -90.9

---

## DyFe2 (GGA-PBE)

Data for an optimized crystal structure of DyFe2.

Unit cell a=5.1367 b=5.1367 c=5.1367 alpha=60.00 beta=60.00 gamma=60.00
Fractional positions:
Fe 0.6250 0.6250 0.6250
Dy 0.0000 0.0000 0.0000
Fe 0.6250 0.1250 0.6250
Fe 0.6250 0.6250 0.1250
Fe 0.1250 0.6250 0.6250
Dy 0.2500 0.2500 0.2500

Summary:
- uncorrected energy (eV/cell) = -43.6

---

Summary of ΔE_f in eV per formula unit
-35.356, -38.094, -0.277, -0.236
(order as listed above)